# 1
VASP calculation (GGA-PBE) on a relaxed Ta11Co104B30 crystal.

Output
- Electronic total energy: -2222.61 eV/cell
- Theoretical density: 9.65 g cm⁻³
- DFT formation energy: -284 meV per atom

Unit cell a=16.627 b=16.627 c=10.507 alpha=90.00 beta=90.00 gamma=90.00
Space group I4/m (No. 87)
Inequivalent atoms, fractional coordinates:
Ta: 0.000 0.000 0.000 [2 per cell]
Ta: 0.000 0.500 0.250 [4 per cell]
Ta: 0.100 0.800 0.250 [16 per cell]
Co: 0.001 0.666 0.331 [16 per cell]
Co: 0.007 0.254 0.116 [16 per cell]
Co: 0.032 0.435 0.500 [8 per cell]
Co: 0.035 0.104 0.174 [16 per cell]
Co: 0.035 0.767 0.500 [8 per cell]
Co: 0.046 0.907 0.384 [16 per cell]
Co: 0.054 0.393 0.116 [16 per cell]
Co: 0.067 0.200 0.333 [16 per cell]
Co: 0.069 0.861 0.000 [8 per cell]
Co: 0.099 0.634 0.169 [16 per cell]
Co: 0.100 0.300 0.500 [8 per cell]
Co: 0.133 0.733 0.000 [8 per cell]
Co: 0.147 0.207 0.116 [16 per cell]
Co: 0.154 0.693 0.384 [16 per cell]
Co: 0.165 0.832 0.500 [8 per cell]
Co: 0.201 0.266 0.331 [16 per cell]
B: 0.000 0.000 0.271 [4 per cell]
B: 0.036 0.654 0.000 [8 per cell]
B: 0.045 0.136 0.500 [8 per cell]
B: 0.054 0.162 0.000 [8 per cell]
B: 0.064 0.645 0.500 [8 per cell]
B: 0.100 0.300 0.226 [16 per cell]
B: 0.236 0.255 0.000 [8 per cell]


# 2
VASP calculation (GGA-PBE) on a relaxed MgCu2Sb4O12 crystal.

Output
- Electronic total energy: -109.38 eV/cell
- Energy relative to the lowest polymorph listed for this composition: 0.0000 eV per atom
- Theoretical density: 6.05 g cm⁻³
- DFT formation energy: -1681 meV per atom

Unit cell a=4.837 b=5.051 c=9.325 alpha=90.11 beta=90.03 gamma=90.34
Space group P1 (No. 1)
Inequivalent atoms, fractional coordinates:
Mg: 0.000 0.000 0.000 [1 per cell]
Cu: 0.500 0.993 0.002 [1 per cell]
Cu: 0.996 0.499 0.501 [1 per cell]
Sb: 0.496 0.998 0.668 [1 per cell]
Sb: 0.497 0.000 0.333 [1 per cell]
Sb: 0.997 0.497 0.822 [1 per cell]
Sb: 0.997 0.499 0.180 [1 per cell]
O: 0.197 0.664 0.001 [1 per cell]
O: 0.224 0.680 0.673 [1 per cell]
O: 0.228 0.682 0.328 [1 per cell]
O: 0.257 0.172 0.168 [1 per cell]
O: 0.258 0.171 0.835 [1 per cell]
O: 0.294 0.172 0.501 [1 per cell]
O: 0.699 0.826 0.500 [1 per cell]
O: 0.737 0.825 0.834 [1 per cell]
O: 0.740 0.828 0.169 [1 per cell]
O: 0.767 0.319 0.328 [1 per cell]
O: 0.769 0.314 0.674 [1 per cell]
O: 0.797 0.333 0.001 [1 per cell]


# 3
VASP calculation (GGA-PBE) on a relaxed Pm2AgSn crystal.

Output
- Electronic total energy: -73.87 eV/cell
- Theoretical density: 7.83 g cm⁻³
- DFT formation energy: -531 meV per atom

Unit cell a=7.596 b=7.596 c=7.596 alpha=90.00 beta=90.00 gamma=90.00
Space group Fm-3m (No. 225)
Inequivalent atoms, fractional coordinates:
Pm: 0.250 0.250 0.250 [8 per cell]
Ag: 0.000 0.000 0.000 [4 per cell]
Sn: 0.000 0.000 0.500 [4 per cell]


# 4
VASP calculation (GGA-PBE) on a relaxed Ce3AlZnS7 crystal.

Output
- Electronic total energy: -141.30 eV/cell
- Theoretical density: 4.46 g cm⁻³
- DFT formation energy: -1868 meV per atom

Unit cell a=10.0926 b=10.0926 c=6.2270 alpha=90.00 beta=90.00 gamma=120.00
Space group P6_3 (No. 173)
Inequivalent atoms, fractional coordinates:
Ce: 0.1415 0.7674 0.0000 [6 per cell]
Al: 0.3333 0.6667 0.5778 [2 per cell]
Zn: 0.0000 0.0000 0.2314 [2 per cell]
S: 0.0925 0.8560 0.4394 [6 per cell]
S: 0.1004 0.5195 0.7262 [6 per cell]
S: 0.3333 0.6667 0.2117 [2 per cell]


# 5
VASP calculation (GGA-PBE) on a relaxed MgZn2 crystal.

Output
- Electronic total energy: -8.16 eV/cell
- Theoretical density: 4.93 g cm⁻³
- DFT formation energy: 14 meV per atom

Unit cell a=2.9868 b=2.9868 c=13.5265 alpha=90.00 beta=90.00 gamma=120.00
Space group P6_3/mmc (No. 194)
Inequivalent atoms, fractional coordinates:
Mg: 0.3333 0.6667 0.2500 [2 per cell]
Zn: 0.3333 0.6667 0.5770 [4 per cell]


# 6
VASP calculation (GGA-PBE) on a relaxed SrTm2S4 crystal.

Output
- Electronic total energy: -168.40 eV/cell
- Theoretical density: 5.47 g cm⁻³
- DFT formation energy: -2418 meV per atom

Unit cell a=12.010 b=3.944 c=14.199 alpha=90.00 beta=90.00 gamma=90.00
Space group Pnma (No. 62)
Inequivalent atoms, fractional coordinates:
Sr: 0.239 0.250 0.165 [4 per cell]
Tm: 0.062 0.250 0.390 [4 per cell]
Tm: 0.083 0.250 0.901 [4 per cell]
S: 0.027 0.750 0.784 [4 per cell]
S: 0.089 0.250 0.577 [4 per cell]
S: 0.127 0.750 0.029 [4 per cell]
S: 0.204 0.750 0.333 [4 per cell]


Look up the electronic total energy of the sixth one.
-168.40 eV/cell